A relaxed structure of Yb2HgPb. Source: the Materials Project, functional r2SCAN.

POSCAR file:
```
Yb2HgPb
1.0
0.0000 3.6944 3.6944
3.6944 0.0000 3.6944
3.6944 3.6944 0.0000
Hg Yb Pb
1 2 1
Direct
0.5000 0.5000 0.5000
0.2500 0.2500 0.2500
0.7500 0.7500 0.7500
0.0000 0.0000 0.0000
```

***

A relaxed structure of LaRh2. Source: the Materials Project, functional r2SCAN.

POSCAR file:
```
LaRh2
1.0
4.6888 0.0000 2.7071
1.5629 4.4206 2.7071
0.0000 0.0000 5.4142
Rh La
4 2
Direct
0.5000 0.5000 0.5000
0.5000 0.0000 0.5000
0.5000 0.5000 0.0000
0.0000 0.5000 0.5000
0.8750 0.8750 0.8750
0.1250 0.1250 0.1250
```

***

In the order shown, the computed raw total energy values come out to -180.62 -160.51 eV per cell.
In the order shown, the computed energy of formation from the pure elements values come out to -1.91 -2.24 eV/f.u..